# 1
DFT (GGA+U) results for a relaxed BaLaMn2O6 crystal.

For the energy, the calculation gives -7.472 eV per atom. The excess energy over the best structure of this formula in the dataset is 0 meV per atom. As for the formation energy: -2731 meV per atom. The value obtained for the MP2020-corrected energy is -8.22 eV per atom.

The space group is P4/mmm (No. 123) and the conventional cell measures 3.965, 3.965 and 7.931 Å, with angles of 90.00, 90.00 and 90.00 degrees. The inequivalent atoms are Ba at (0.000, 0.000, 0.000), La at (0.000, 0.000, 0.500), Mn at (0.500, 0.500, 0.252), O at (0.000, 0.500, 0.272), O at (0.500, 0.500, 0.000) and O at (0.500, 0.500, 0.500).


# 2
DFT (GGA+U) results for a relaxed Sr2MnSi2O7 crystal.

For the energy, the calculation gives -7.506 eV per atom. As for the formation energy: -3210 meV per atom. The value obtained for the MP2020-corrected energy is -8.05 eV per atom.

The space group is P-42_1m (No. 113) and the conventional cell measures 8.231, 8.231 and 5.225 Å, with angles of 90.00, 90.00 and 90.00 degrees. The inequivalent atoms are Sr at (0.168, 0.332, 0.495), Mn at (0.000, 0.000, 0.000), Si at (0.137, 0.637, 0.941), O at (0.000, 0.500, 0.840), O at (0.078, 0.803, 0.792) and O at (0.142, 0.642, 0.250).